1.
6
Lattice="4.194 0.000 0.000 -2.097 3.632 0.000 0.000 0.000 9.807" Properties=species:S:1:pos:R:3 comment="KCuSe (PBE-GGA, relaxed)" sg="No. 194" formation_enthalpy_0k_ev_per_atom=-0.838 energy_mp2020_ev_per_atom=-3.739 final_energy_ev_per_cell=-21.49 pbc="T T T"
K 0.000 0.000 0.000
K 0.000 0.000 4.904
Cu 0.000 2.421 2.452
Cu 2.097 1.211 7.355
Se 0.000 2.421 7.355
Se 2.097 1.211 2.452

2.
32
Lattice="12.338 -2.869 0.000 12.338 2.869 0.000 -7.647 0.000 13.092" Properties=species:S:1:pos:R:3 comment="K3Ta2Cu3Se8 (PBE-GGA, relaxed)" sg="No. 15" formation_enthalpy_0k_ev_per_atom=-1.083 energy_mp2020_ev_per_atom=-5.290 final_energy_ev_per_cell=-161.74 pbc="T T T"
K 0.000 0.000 0.000
K -3.824 0.000 6.546
K 0.687 0.222 11.855
K 4.510 -0.222 5.309
K 12.518 0.222 7.783
K 16.342 -0.222 1.237
Ta 7.575 1.249 2.889
Ta 13.277 1.249 3.657
Ta 3.751 -1.249 9.435
Ta 9.454 -1.249 10.204
Cu 3.806 1.618 9.415
Cu 10.426 1.278 3.273
Cu 9.399 1.618 10.223
Cu 7.630 -1.618 2.869
Cu 6.602 -1.278 9.819
Cu 13.222 -1.618 3.677
Se -4.471 0.249 11.467
Se -1.354 0.174 8.984
Se -0.648 -0.249 4.921
Se 2.470 -0.174 2.438
Se 2.479 0.171 7.951
Se 6.303 -0.171 1.405
Se 4.984 0.135 11.031
Se 8.808 -0.135 4.485
Se 8.220 0.135 8.607
Se 12.044 -0.135 2.061
Se 10.726 0.171 11.687
Se 14.549 -0.171 5.141
Se 14.559 0.174 10.654
Se 17.676 0.249 8.171
Se 18.382 -0.174 4.108
Se 21.500 -0.249 1.625

3.
16
Lattice="7.815 0.000 0.000 0.000 9.634 2.863 0.000 -9.634 2.863" Properties=species:S:1:pos:R:3 comment="KTaCu2Se4 (PBE-GGA, relaxed)" sg="No. 40" formation_enthalpy_0k_ev_per_atom=-0.972 energy_mp2020_ev_per_atom=-5.366 final_energy_ev_per_cell=-82.08 e_ij_max_c_m2=1.8 pbc="T T T"
K 1.954 -6.087 2.863
K 5.861 6.087 2.863
Ta 1.954 -2.087 1.356
Ta 5.861 2.087 1.356
Cu 0.000 0.000 1.447
Cu 1.954 -2.056 4.217
Cu 3.908 0.000 1.447
Cu 5.861 2.056 4.217
Se 0.037 2.065 2.771
Se 1.954 5.586 2.798
Se 1.954 -0.059 5.670
Se 3.871 2.065 2.771
Se 3.944 -2.065 2.771
Se 5.861 -5.586 2.798
Se 5.861 0.059 5.670
Se 7.779 -2.065 2.771

4.
16
Lattice="5.774 0.000 0.000 2.887 6.910 0.000 2.887 0.000 12.218" Properties=species:S:1:pos:R:3 comment="K2TaCuSe4 (PBE-GGA, relaxed)" sg="No. 1" formation_enthalpy_0k_ev_per_atom=-1.176 energy_mp2020_ev_per_atom=-5.196 final_energy_ev_per_cell=-79.37 pbc="T T T"
K 0.000 0.000 0.000
K 4.280 3.468 9.585
K 5.746 6.880 3.435
K 7.147 3.427 6.089
Ta 5.717 6.877 7.813
Ta 7.181 3.506 1.675
Cu 4.332 3.484 1.704
Cu 8.572 6.898 7.817
Se 2.786 4.833 3.099
Se 4.368 5.532 6.421
Se 2.824 2.063 0.364
Se 4.270 1.405 6.466
Se 7.170 5.490 9.185
Se 5.800 4.876 0.284
Se 5.771 2.013 3.112
Se 7.223 1.390 9.238

5.
16
Lattice="0.000 6.910 12.218 2.887 0.000 12.218 2.887 6.910 0.000" Properties=species:S:1:pos:R:3 comment="K2TaCuSe4 (PBE-GGA, relaxed)" sg="No. 70" formation_enthalpy_0k_ev_per_atom=-1.189 energy_mp2020_ev_per_atom=-5.209 final_energy_ev_per_cell=-79.57 pbc="T T T"
K 2.165 5.182 1.336
K 3.608 8.637 7.445
K 2.165 5.182 16.990
K 3.608 8.637 23.099
Ta 0.722 1.727 3.054
Ta 5.052 12.092 21.381
Cu 2.165 5.182 9.163
Cu 3.608 8.637 15.272
Se 2.127 3.137 4.443
Se 3.647 6.592 10.552
Se 2.203 7.228 4.443
Se 2.203 3.137 13.883
Se 3.570 10.683 10.552
Se 3.570 6.592 19.992
Se 2.127 7.228 13.883
Se 3.647 10.683 19.992

6.
24
Lattice="0.000 6.892 19.303 2.908 0.000 19.303 2.908 6.892 0.000" Properties=species:S:1:pos:R:3 comment="K2VCuSe2 (PBE-GGA, relaxed)" sg="No. 70" formation_enthalpy_0k_ev_per_atom=-0.299 energy_mp2020_ev_per_atom=-4.032 final_energy_ev_per_cell=-92.98 pbc="T T T"
K 1.547 3.290 6.619
K 4.269 6.735 16.271
K 2.815 7.048 6.619
K 2.815 3.290 22.335
K 3.001 10.494 16.271
K 3.001 6.735 31.986
K 1.547 7.048 22.335
K 4.269 10.494 31.986
V 0.000 0.000 0.000
V 1.454 3.446 0.000
V 1.454 0.000 9.651
V 0.000 3.446 9.651
Cu 2.908 3.446 9.651
Cu 1.454 6.892 9.651
Cu 1.454 3.446 19.303
Cu 2.908 6.892 19.303
Se 2.874 3.421 17.400
Se 1.488 3.421 11.554
Se 4.328 6.866 21.205
Se 2.874 6.917 11.554
Se 2.942 6.866 27.051
Se 1.488 6.917 17.400
Se 4.328 10.363 27.051
Se 2.942 10.363 21.205